# SrCaInSbO6 PBE optimized geometry
# DFT formation energy: -24.73 eV per formula unit
data_SrCaInSbO6
_cell_length_a 8.199
_cell_length_b 8.199
_cell_length_c 8.199
_cell_angle_alpha 90.00
_cell_angle_beta 90.00
_cell_angle_gamma 90.00
_symmetry_space_group_name_H-M 'F -4 3 m'
_symmetry_Int_Tables_number 216
_symmetry_space_group_name_Hall 'F -4 2 3'
loop_
_atom_site_label
_atom_site_type_symbol
_atom_site_fract_x
_atom_site_fract_y
_atom_site_fract_z
_atom_site_occupancy
Sr1 Sr 0.000 0.000 0.000 1
Ca1 Ca 0.000 0.000 0.500 1
In1 In 0.250 0.250 0.250 1
Sb1 Sb 0.250 0.250 0.750 1
O1 O 0.009 0.250 0.750 1


# BaLaInO4 PBE optimized geometry
# DFT formation energy: -20.29 eV per formula unit
data_BaLaInO4
_cell_length_a 13.424
_cell_length_b 5.991
_cell_length_c 5.919
_cell_angle_alpha 90.00
_cell_angle_beta 90.00
_cell_angle_gamma 90.00
_symmetry_space_group_name_H-M 'P c a 21'
_symmetry_Int_Tables_number 29
_symmetry_space_group_name_Hall 'P 2c -2ac'
loop_
_atom_site_label
_atom_site_type_symbol
_atom_site_fract_x
_atom_site_fract_y
_atom_site_fract_z
_atom_site_occupancy
Ba1 Ba 0.146 0.233 0.000 1
La1 La 0.147 0.699 0.521 1
In1 In 0.001 0.245 0.503 1
O1 O 0.003 0.455 0.210 1
O2 O 0.031 0.940 0.309 1
O3 O 0.164 0.307 0.524 1
O4 O 0.178 0.755 0.921 1


# Mg149Zr PBE optimized geometry
# DFT formation energy: -3.20 eV per formula unit
data_Mg149Zr
_cell_length_a 15.9198
_cell_length_b 15.9198
_cell_length_c 15.5984
_cell_angle_alpha 90.00
_cell_angle_beta 90.00
_cell_angle_gamma 120.00
_symmetry_space_group_name_H-M 'P -6 m 2'
_symmetry_Int_Tables_number 187
_symmetry_space_group_name_Hall 'P -6 2'
loop_
_atom_site_label
_atom_site_type_symbol
_atom_site_fract_x
_atom_site_fract_y
_atom_site_fract_z
_atom_site_occupancy
Mg1 Mg 0.0000 0.0000 0.0000 1
Mg2 Mg 0.0000 0.0000 0.3338 1
Mg3 Mg 0.0002 0.4001 0.0000 1
Mg4 Mg 0.0005 0.1997 0.0000 1
Mg5 Mg 0.0005 0.2008 0.3334 1
Mg6 Mg 0.1334 0.0667 0.1670 1
Mg7 Mg 0.1330 0.2659 0.5000 1
Mg8 Mg 0.1334 0.2668 0.1668 1
Mg9 Mg 0.1334 0.4669 0.1678 1
Mg10 Mg 0.1338 0.0669 0.5000 1
Mg11 Mg 0.1345 0.4694 0.5000 1
Mg12 Mg 0.2001 0.4002 0.0000 1
Mg13 Mg 0.1998 0.5999 0.0000 1
Mg14 Mg 0.2007 0.4013 0.3348 1
Mg15 Mg 0.2012 0.6006 0.3353 1
Mg16 Mg 0.3332 0.0653 0.5000 1
Mg17 Mg 0.3332 0.0666 0.1667 1
Mg18 Mg 0.3333 0.6667 0.1658 1
Mg19 Mg 0.3991 0.1996 0.0000 1
Mg20 Mg 0.4000 0.2000 0.3333 1
Mg21 Mg 0.4010 0.0011 0.3330 1
Mg22 Mg 0.5332 0.2666 0.1663 1
Mg23 Mg 0.5333 0.2667 0.5000 1
Mg24 Mg 0.5336 0.0672 0.1660 1
Mg25 Mg 0.5339 0.0678 0.5000 1
Mg26 Mg 0.5999 0.1997 0.0000 1
Mg27 Mg 0.6003 0.2006 0.3329 1
Zr1 Zr 0.3333 0.6667 0.5000 1


# Fe2CoSe4 PBE optimized geometry
# DFT formation energy: -3.54 eV per formula unit
data_Fe2CoSe4
_cell_length_a 12.119
_cell_length_b 3.546
_cell_length_c 6.184
_cell_angle_alpha 90.00
_cell_angle_beta 119.20
_cell_angle_gamma 90.00
_symmetry_space_group_name_H-M 'C 1 m 1'
_symmetry_Int_Tables_number 8
_symmetry_space_group_name_Hall 'C -2y'
loop_
_atom_site_label
_atom_site_type_symbol
_atom_site_fract_x
_atom_site_fract_y
_atom_site_fract_z
_atom_site_occupancy
Fe1 Fe 0.000 0.000 0.000 1
Fe2 Fe 0.241 0.500 0.715 1
Co1 Co 0.260 0.000 0.280 1
Se1 Se 0.121 0.000 0.451 1
Se2 Se 0.134 0.500 0.968 1
Se3 Se 0.362 0.000 0.022 1
Se4 Se 0.379 0.500 0.542 1